Computed, not measured: BaSr7Co4Cu4O20 after structural relaxation at the PBE with a Hubbard U level of DFT.

Computed properties:
V ... 13.70 A^3/atom
Formation energy ... -1.981 eV/atom
Spin magnetization ... 53.03 μB/cell

a b c (Å): 11.095 11.073 17.880
angles (deg): 108.24 108.04 89.80
Positions (direct):
Ba  0.308  0.060  0.120
Ba  0.310  0.558  0.119
Ba  0.810  0.060  0.120
Ba  0.057  0.812  0.120
Sr  0.308  0.058  0.612
Sr  0.303  0.557  0.612
Sr  0.808  0.059  0.611
Sr  0.805  0.556  0.112
Sr  0.804  0.559  0.612
Sr  0.193  0.444  0.389
Sr  0.196  0.438  0.886
Sr  0.195  0.942  0.389
Sr  0.192  0.943  0.886
Sr  0.693  0.444  0.389
Sr  0.690  0.442  0.885
Sr  0.696  0.945  0.387
Sr  0.693  0.941  0.886
Sr  0.056  0.305  0.110
Sr  0.056  0.303  0.612
Sr  0.056  0.800  0.611
Sr  0.556  0.308  0.112
Sr  0.560  0.307  0.613
Sr  0.559  0.802  0.111
Sr  0.554  0.807  0.613
Sr  0.446  0.198  0.391
Sr  0.443  0.197  0.886
Sr  0.443  0.699  0.391
Sr  0.445  0.692  0.885
Sr  0.946  0.197  0.390
Sr  0.943  0.194  0.884
Sr  0.947  0.693  0.390
Sr  0.941  0.694  0.885
Co  0.995  0.997  0.991
Co  0.001  0.999  0.501
Co  0.996  0.496  0.995
Co  0.000  0.499  0.502
Co  0.497  0.998  0.996
Co  0.502  0.001  0.501
Co  0.499  0.498  0.996
Co  0.500  0.501  0.500
Co  0.248  0.248  0.996
Co  0.251  0.252  0.502
Co  0.247  0.746  0.992
Co  0.250  0.750  0.501
Co  0.748  0.250  0.998
Co  0.753  0.252  0.502
Co  0.747  0.747  0.995
Co  0.750  0.750  0.499
Cu  0.121  0.111  0.258
Cu  0.114  0.098  0.748
Cu  0.110  0.596  0.250
Cu  0.113  0.597  0.749
Cu  0.619  0.105  0.251
Cu  0.614  0.100  0.749
Cu  0.621  0.604  0.255
Cu  0.614  0.601  0.749
Cu  0.366  0.400  0.253
Cu  0.364  0.398  0.747
Cu  0.375  0.899  0.255
Cu  0.364  0.900  0.750
Cu  0.864  0.403  0.250
Cu  0.866  0.400  0.750
Cu  0.865  0.893  0.253
Cu  0.862  0.900  0.747
O  0.121  0.114  0.498
O  0.122  0.128  0.993
O  0.122  0.623  0.495
O  0.129  0.630  0.992
O  0.632  0.132  0.497
O  0.628  0.132  0.994
O  0.613  0.621  0.497
O  0.625  0.626  0.994
O  0.116  0.379  0.999
O  0.123  0.376  0.504
O  0.115  0.881  0.997
O  0.135  0.869  0.505
O  0.618  0.383  0.001
O  0.630  0.377  0.507
O  0.616  0.880  0.000
O  0.624  0.884  0.504
O  0.382  0.120  0.497
O  0.379  0.115  0.993
O  0.365  0.631  0.497
O  0.381  0.615  0.994
O  0.872  0.123  0.495
O  0.879  0.115  0.993
O  0.872  0.618  0.497
O  0.876  0.613  0.993
O  0.374  0.371  0.999
O  0.383  0.387  0.506
O  0.368  0.866  0.999
O  0.376  0.878  0.506
O  0.866  0.368  0.999
O  0.871  0.371  0.504
O  0.869  0.872  0.998
O  0.887  0.883  0.506
O  0.072  0.093  0.146
O  0.076  0.084  0.637
O  0.062  0.571  0.135
O  0.071  0.581  0.636
O  0.569  0.087  0.138
O  0.576  0.086  0.637
O  0.581  0.586  0.142
O  0.575  0.588  0.637
O  0.434  0.414  0.365
O  0.437  0.414  0.859
O  0.442  0.912  0.366
O  0.439  0.916  0.862
O  0.936  0.414  0.362
O  0.939  0.416  0.862
O  0.936  0.910  0.365
O  0.936  0.914  0.859
O  0.326  0.313  0.139
O  0.324  0.302  0.634
O  0.332  0.812  0.142
O  0.324  0.802  0.639
O  0.823  0.315  0.136
O  0.827  0.302  0.639
O  0.816  0.802  0.139
O  0.820  0.804  0.634
O  0.191  0.204  0.370
O  0.187  0.193  0.860
O  0.187  0.697  0.360
O  0.189  0.696  0.860
O  0.693  0.201  0.362
O  0.687  0.197  0.861
O  0.692  0.700  0.368
O  0.685  0.694  0.861
O  0.472  0.048  0.263
O  0.452  0.052  0.749
O  0.469  0.547  0.262
O  0.451  0.551  0.747
O  0.972  0.037  0.261
O  0.952  0.050  0.748
O  0.949  0.557  0.252
O  0.950  0.553  0.749
O  0.202  0.446  0.250
O  0.201  0.444  0.749
O  0.224  0.970  0.260
O  0.202  0.946  0.748
O  0.702  0.445  0.251
O  0.703  0.449  0.750
O  0.706  0.952  0.249
O  0.702  0.948  0.750

Computed, not measured: Ba2Sr2CoCu3O12 after structural relaxation at the PBE with a Hubbard U level of DFT.

Computed properties:
V ... 12.46 A^3/atom
Formation energy ... -1.748 eV/atom
Spin magnetization ... 12.37 μB/cell

a b c (Å): 7.919 7.929 7.935
angles (deg): 89.91 90.00 90.00
Positions (direct):
Ba  0.500  0.751  0.248
Ba  0.500  0.248  0.248
Ba  0.000  0.752  0.752
Ba  0.000  0.249  0.249
Sr  0.500  0.755  0.753
Sr  0.500  0.246  0.752
Sr  0.000  0.245  0.754
Sr  0.000  0.755  0.246
Co  0.250  0.500  0.505
Co  0.750  0.500  0.505
Cu  0.250  0.000  0.000
Cu  0.250  0.500  0.000
Cu  0.250  0.000  0.501
Cu  0.750  0.000  0.000
Cu  0.750  0.500  0.000
Cu  0.750  0.000  0.501
O  0.500  0.000  0.986
O  0.500  0.500  0.985
O  0.500  0.000  0.515
O  0.500  0.500  0.506
O  0.000  0.001  0.996
O  0.000  0.499  0.998
O  0.000  0.002  0.505
O  0.000  0.499  0.505
O  0.255  0.005  0.749
O  0.253  0.498  0.743
O  0.244  0.994  0.252
O  0.246  0.503  0.259
O  0.745  0.005  0.749
O  0.747  0.498  0.743
O  0.756  0.994  0.252
O  0.754  0.503  0.259
O  0.251  0.748  0.996
O  0.250  0.252  0.986
O  0.251  0.742  0.504
O  0.250  0.258  0.509
O  0.749  0.748  0.996
O  0.750  0.252  0.986
O  0.749  0.742  0.504
O  0.750  0.258  0.509

Computed, not measured: Ba2Sr2CoCu3O10 after structural relaxation at the PBE with a Hubbard U level of DFT.

Computed properties:
V ... 14.22 A^3/atom
Formation energy ... -1.905 eV/atom
Spin magnetization ... 18.05 μB/cell

a b c (Å): 11.256 11.206 18.075
angles (deg): 108.21 108.16 89.61
Positions (direct):
Ba  0.306  0.055  0.118
Ba  0.304  0.059  0.618
Ba  0.305  0.557  0.116
Ba  0.806  0.059  0.117
Ba  0.808  0.553  0.116
Ba  0.189  0.946  0.387
Ba  0.187  0.942  0.878
Ba  0.687  0.437  0.876
Ba  0.054  0.313  0.119
Ba  0.059  0.808  0.116
Ba  0.559  0.311  0.120
Ba  0.554  0.811  0.117
Ba  0.441  0.689  0.385
Ba  0.438  0.691  0.879
Ba  0.939  0.690  0.386
Ba  0.934  0.688  0.876
Sr  0.307  0.552  0.608
Sr  0.808  0.060  0.610
Sr  0.802  0.555  0.608
Sr  0.198  0.445  0.394
Sr  0.192  0.438  0.885
Sr  0.697  0.446  0.395
Sr  0.700  0.949  0.394
Sr  0.690  0.944  0.885
Sr  0.053  0.307  0.609
Sr  0.052  0.799  0.607
Sr  0.558  0.308  0.609
Sr  0.554  0.798  0.608
Sr  0.451  0.199  0.394
Sr  0.441  0.194  0.889
Sr  0.947  0.197  0.395
Sr  0.945  0.197  0.888
Co  0.991  0.998  0.990
Co  0.993  0.494  0.988
Co  0.494  0.995  0.990
Co  0.503  0.002  0.503
Co  0.493  0.494  0.991
Co  0.240  0.743  0.985
Co  0.741  0.241  0.985
Co  0.745  0.749  0.996
Cu  0.001  0.004  0.505
Cu  0.003  0.500  0.503
Cu  0.502  0.500  0.502
Cu  0.246  0.248  0.995
Cu  0.253  0.252  0.503
Cu  0.252  0.751  0.504
Cu  0.753  0.252  0.502
Cu  0.752  0.755  0.507
Cu  0.118  0.108  0.254
Cu  0.109  0.101  0.747
Cu  0.121  0.600  0.255
Cu  0.114  0.591  0.745
Cu  0.621  0.106  0.257
Cu  0.617  0.095  0.748
Cu  0.619  0.604  0.252
Cu  0.615  0.602  0.747
Cu  0.370  0.393  0.253
Cu  0.362  0.399  0.747
Cu  0.375  0.906  0.258
Cu  0.367  0.904  0.749
Cu  0.871  0.395  0.258
Cu  0.867  0.394  0.744
Cu  0.865  0.903  0.252
Cu  0.859  0.909  0.749
O  0.121  0.130  0.499
O  0.109  0.116  0.995
O  0.128  0.625  0.501
O  0.117  0.619  0.991
O  0.627  0.127  0.498
O  0.619  0.118  0.990
O  0.626  0.626  0.500
O  0.611  0.614  0.995
O  0.112  0.381  0.996
O  0.128  0.377  0.504
O  0.129  0.864  0.997
O  0.123  0.876  0.508
O  0.629  0.360  0.996
O  0.628  0.378  0.506
O  0.616  0.881  0.997
O  0.624  0.887  0.508
O  0.385  0.121  0.500
O  0.381  0.114  0.994
O  0.373  0.620  0.500
O  0.357  0.629  0.993
O  0.873  0.124  0.497
O  0.862  0.129  0.993
O  0.871  0.624  0.501
O  0.876  0.614  0.993
O  0.379  0.381  0.997
O  0.379  0.376  0.504
O  0.373  0.877  0.999
O  0.379  0.877  0.509
O  0.874  0.373  0.996
O  0.877  0.379  0.506
O  0.879  0.885  0.998
O  0.874  0.881  0.508
O  0.068  0.085  0.143
O  0.060  0.091  0.638
O  0.076  0.584  0.145
O  0.081  0.584  0.637
O  0.574  0.085  0.146
O  0.581  0.091  0.640
O  0.574  0.579  0.140
O  0.575  0.586  0.637
O  0.442  0.409  0.363
O  0.429  0.412  0.860
O  0.444  0.923  0.368
O  0.433  0.922  0.860
O  0.942  0.411  0.368
O  0.938  0.410  0.856
O  0.927  0.919  0.362
O  0.927  0.928  0.862
O  0.316  0.307  0.139
O  0.321  0.310  0.637
O  0.328  0.811  0.149
O  0.332  0.801  0.642
O  0.819  0.309  0.147
O  0.822  0.299  0.635
O  0.821  0.811  0.139
O  0.827  0.805  0.642
O  0.192  0.203  0.364
O  0.184  0.193  0.861
O  0.181  0.695  0.364
O  0.179  0.687  0.857
O  0.692  0.205  0.365
O  0.695  0.187  0.859
O  0.678  0.706  0.360
O  0.679  0.696  0.859
O  0.470  0.050  0.261
O  0.467  0.050  0.759
O  0.475  0.521  0.249
O  0.461  0.531  0.741
O  0.972  0.044  0.262
O  0.952  0.054  0.751
O  0.974  0.521  0.251
O  0.956  0.532  0.736
O  0.226  0.466  0.263
O  0.204  0.444  0.749
O  0.223  0.974  0.251
O  0.206  0.958  0.736
O  0.726  0.471  0.264
O  0.714  0.460  0.741
O  0.715  0.965  0.259
O  0.696  0.938  0.745